A relaxed structure of Mg3Mn2Si3O12. Source: Materials Project, functional PBE with a Hubbard U.

Results
Excess energy over the best structure of this formula in the dataset ... 0.028 eV per atom
Raw total energy ... -7.178 eV per atom
V ... 824.52 Å³ per cell
MP2020-corrected energy ... -7.757 eV per atom

```
80
Lattice="-5.907 5.907 5.907 5.907 -5.907 5.907 5.907 5.907 -5.907" Properties=species:S:1:pos:R:3 pbc="T T T"
Mg 2.954 1.477 0.000
Mg 5.907 2.954 -1.477
Mg 1.477 0.000 2.954
Mg 7.384 0.000 2.954
Mg 0.000 2.954 1.477
Mg 2.954 -1.477 5.907
Mg 2.954 7.384 0.000
Mg 5.907 2.954 4.430
Mg -1.477 5.907 2.954
Mg 4.430 5.907 2.954
Mg 0.000 2.954 7.384
Mg 2.954 4.430 5.907
Mn 0.000 0.000 0.000
Mn 2.954 2.954 -2.954
Mn 2.954 -2.954 2.954
Mn 5.907 0.000 0.000
Mn -2.954 2.954 2.954
Mn 0.000 5.907 0.000
Mn 0.000 0.000 5.907
Mn 2.954 2.954 2.954
Si 8.861 1.477 0.000
Si 5.907 -2.954 4.430
Si 4.430 5.907 -2.954
Si 4.430 0.000 2.954
Si 2.954 4.430 0.000
Si 5.907 2.954 1.477
Si 0.000 2.954 4.430
Si 2.954 1.477 5.907
Si 1.477 5.907 2.954
Si 1.477 0.000 8.861
Si 0.000 8.861 1.477
Si -2.954 4.430 5.907
O 1.878 -0.398 0.657
O 6.983 3.610 -3.352
O 7.785 0.398 0.657
O 6.983 -2.297 3.352
O 5.509 -0.657 1.878
O 9.259 -1.076 2.297
O 0.657 1.878 -0.398
O 8.204 2.555 -1.076
O 3.610 3.352 -1.076
O 5.250 1.878 0.398
O -0.398 0.657 1.878
O 3.352 -1.076 3.610
O 5.509 5.250 -1.878
O 3.352 1.076 2.297
O 3.610 -3.352 6.983
O 5.250 -1.878 5.509
O 2.297 3.352 1.076
O 6.564 4.029 0.398
O 3.352 6.983 -2.297
O 5.509 0.657 4.029
O 1.878 5.509 -0.657
O 6.983 2.297 2.555
O 1.076 2.297 3.352
O 1.878 0.398 5.250
O 4.029 5.509 0.657
O 4.831 3.610 2.555
O -1.076 3.610 3.352
O 4.029 0.398 6.564
O 0.398 5.250 1.878
O 2.555 -1.076 8.204
O -0.657 1.878 5.509
O 3.610 2.555 4.831
O 0.657 7.785 0.398
O 2.297 9.259 -1.076
O 2.555 4.831 3.610
O 0.398 0.657 7.785
O 2.555 6.983 2.297
O 6.306 5.250 4.029
O 0.657 4.029 5.509
O 2.297 2.555 6.983
O -2.297 3.352 6.983
O 5.250 4.029 6.306
O -3.352 6.983 3.610
O 0.398 6.564 4.029
O -1.076 8.204 2.555
O -1.878 5.509 5.250
O -1.076 2.297 9.259
O 4.029 6.306 5.250
```